[1]
An optimized crystal structure of Mg2IrPd, computed with GGA-PBE.

## Properties
Space-group type   No. 225
Total moment   0.00 μB per atom
Formation enthalpy at 0 K   -0.52 eV per atom

Geometry as extended XYZ:
```
4
Lattice="0.000 3.146 3.146 3.146 0.000 3.146 3.146 3.146 0.000" Properties=species:S:1:pos:R:3 pbc="T T T"
Mg 1.573 1.573 1.573
Mg 4.719 4.719 4.719
Ir 0.000 0.000 0.000
Pd 3.146 3.146 3.146
```

---

[2]
An optimized crystal structure of Pr4MgIr, computed with GGA-PBE.

## Properties
Space-group type   No. 216
Formation enthalpy at 0 K   -0.35 eV per atom

Geometry as extended XYZ:
```
24
Lattice="0.000 7.150 7.150 7.150 0.000 7.150 7.150 7.150 0.000" Properties=species:S:1:pos:R:3 pbc="T T T"
Pr 3.575 3.575 0.891
Pr 3.575 0.891 3.575
Pr 6.260 3.575 3.575
Pr 7.150 7.150 2.685
Pr 7.150 2.685 7.150
Pr 11.616 7.150 7.150
Pr 8.514 5.787 5.787
Pr 0.891 3.575 3.575
Pr 3.575 6.260 3.575
Pr 3.575 3.575 6.260
Pr 5.787 8.514 5.787
Pr 5.787 5.787 8.514
Pr 8.514 8.514 8.514
Pr 2.685 7.150 7.150
Pr 7.150 11.616 7.150
Pr 7.150 7.150 11.616
Mg 11.853 9.598 9.598
Mg 9.598 11.853 9.598
Mg 9.598 9.598 11.853
Mg 11.853 11.853 11.853
Ir 5.594 5.594 5.594
Ir 8.707 8.707 5.594
Ir 8.707 5.594 8.707
Ir 5.594 8.707 8.707
```

---

[3]
An optimized crystal structure of Mg2IrRh, computed with GGA-PBE.

## Properties
Space-group type   No. 225
Total moment   0.00 μB per atom
Formation enthalpy at 0 K   -0.37 eV per atom

Geometry as extended XYZ:
```
4
Lattice="0.000 3.125 3.125 3.125 0.000 3.125 3.125 3.125 0.000" Properties=species:S:1:pos:R:3 pbc="T T T"
Mg 1.562 1.562 1.562
Mg 4.687 4.687 4.687
Ir 0.000 0.000 0.000
Rh 3.125 3.125 3.125
```

---

[4]
An optimized crystal structure of MgSi7Ir3, computed with GGA-PBE.

## Properties
Space-group type   No. 167
Formation enthalpy at 0 K   -0.52 eV per atom

Geometry as extended XYZ:
```
22
Lattice="3.785 2.186 6.691 -3.785 2.186 6.691 0.000 -4.371 6.691" Properties=species:S:1:pos:R:3 pbc="T T T"
Mg 0.000 0.000 0.000
Mg 0.000 0.000 10.037
Si -2.973 -0.942 10.624
Si -0.671 -3.046 9.450
Si -0.671 -1.325 7.279
Si 0.000 0.000 5.019
Si -2.303 2.104 9.450
Si -0.812 1.243 7.279
Si -1.483 -0.082 12.796
Si 1.483 0.082 7.279
Si 0.812 -1.243 12.796
Si 2.303 -2.104 10.624
Si 0.000 0.000 15.056
Si 0.671 1.325 12.796
Si 0.671 3.046 10.624
Si 2.973 0.942 9.450
Ir -2.560 -0.062 8.364
Ir -1.226 -2.248 11.710
Ir 1.334 -2.186 8.364
Ir -1.334 2.186 11.710
Ir 1.226 2.248 8.364
Ir 2.560 0.062 11.710
```